Entry 1:
Compound: Gd2Fe17
Source: the Materials Project database
Functional: PBE-GGA
Structure: relaxed

Formation energy: -6 meV per atom
Symmetry: P6_3/mmc (194)

```
Gd2Fe17
1.0
8.526 0.000 0.000
-4.263 7.384 0.000
0.000 0.000 8.280
Gd Fe
4 34
Direct
0.000 0.000 0.250
0.000 0.000 0.750
0.333 0.667 0.250
0.667 0.333 0.750
0.000 0.500 0.000
0.000 0.500 0.500
0.039 0.368 0.750
0.039 0.671 0.750
0.166 0.332 0.013
0.166 0.332 0.487
0.166 0.834 0.013
0.166 0.834 0.487
0.329 0.368 0.750
0.329 0.961 0.750
0.332 0.166 0.513
0.332 0.166 0.987
0.333 0.667 0.608
0.333 0.667 0.892
0.368 0.039 0.250
0.368 0.329 0.250
0.500 0.000 0.000
0.500 0.000 0.500
0.500 0.500 0.000
0.500 0.500 0.500
0.632 0.671 0.750
0.632 0.961 0.750
0.667 0.333 0.108
0.667 0.333 0.392
0.668 0.834 0.013
0.668 0.834 0.487
0.671 0.039 0.250
0.671 0.632 0.250
0.834 0.166 0.513
0.834 0.166 0.987
0.834 0.668 0.513
0.834 0.668 0.987
0.961 0.329 0.250
0.961 0.632 0.250
```


Entry 2:
Compound: SrLa3Cu2O8
Source: the Materials Project database
Functional: PBE-GGA
Structure: relaxed

Formation energy: -2816 meV per atom
Symmetry: Amm2 (38)

```
SrLa3Cu2O8
1.0
5.375 0.000 0.000
0.000 2.687 6.557
0.000 -2.687 6.557
Sr La Cu O
1 3 2 8
Direct
0.000 0.000 0.000
0.000 0.281 0.281
0.500 0.502 0.502
0.500 0.783 0.783
0.000 0.642 0.642
0.500 0.137 0.137
0.000 0.459 0.459
0.000 0.811 0.811
0.255 0.397 0.892
0.255 0.892 0.397
0.500 0.325 0.325
0.500 0.960 0.960
0.745 0.397 0.892
0.745 0.892 0.397
```


Entry 3:
Compound: CdMo6Se8
Source: the Materials Project database
Functional: PBE-GGA
Structure: relaxed

Formation energy: -739 meV per atom
Symmetry: R-3 (148)

```
CdMo6Se8
1.0
4.893 2.825 3.838
-4.893 2.825 3.838
0.000 -5.650 3.838
Cd Mo Se
1 6 8
Direct
0.000 0.000 0.000
0.234 0.554 0.419
0.419 0.234 0.554
0.446 0.581 0.766
0.554 0.419 0.234
0.581 0.766 0.446
0.766 0.446 0.581
0.125 0.376 0.740
0.229 0.229 0.229
0.260 0.875 0.624
0.376 0.740 0.125
0.624 0.260 0.875
0.740 0.125 0.376
0.771 0.771 0.771
0.875 0.624 0.260
```


Please write out number 2 again, unchanged.
Compound: SrLa3Cu2O8
Source: the Materials Project database
Functional: PBE-GGA
Structure: relaxed

Formation energy: -2816 meV per atom
Symmetry: Amm2 (38)

```
SrLa3Cu2O8
1.0
5.375 0.000 0.000
0.000 2.687 6.557
0.000 -2.687 6.557
Sr La Cu O
1 3 2 8
Direct
0.000 0.000 0.000
0.000 0.281 0.281
0.500 0.502 0.502
0.500 0.783 0.783
0.000 0.642 0.642
0.500 0.137 0.137
0.000 0.459 0.459
0.000 0.811 0.811
0.255 0.397 0.892
0.255 0.892 0.397
0.500 0.325 0.325
0.500 0.960 0.960
0.745 0.397 0.892
0.745 0.892 0.397
```


Copy entry 2 word for word.
Compound: SrLa3Cu2O8
Source: the Materials Project database
Functional: PBE-GGA
Structure: relaxed

Formation energy: -2816 meV per atom
Symmetry: Amm2 (38)

```
SrLa3Cu2O8
1.0
5.375 0.000 0.000
0.000 2.687 6.557
0.000 -2.687 6.557
Sr La Cu O
1 3 2 8
Direct
0.000 0.000 0.000
0.000 0.281 0.281
0.500 0.502 0.502
0.500 0.783 0.783
0.000 0.642 0.642
0.500 0.137 0.137
0.000 0.459 0.459
0.000 0.811 0.811
0.255 0.397 0.892
0.255 0.892 0.397
0.500 0.325 0.325
0.500 0.960 0.960
0.745 0.397 0.892
0.745 0.892 0.397
```


- Look up the formation energy of the second one.
  -2816 meV per atom


- Which of these has the lowest formation energy?
  SrLa3Cu2O8